Entry 1:
RbTl2Bi: relaxed, r2SCAN.

Structure (CIF):
```
data_RbTl2Bi
_space_group_name_H-M_alt 'F m -3 m'
_space_group_IT_number 225
_space_group_name_Hall '-F 4 2 3'
_cell_length_a 8.233
_cell_length_b 8.233
_cell_length_c 8.233
_cell_angle_alpha 90.00
_cell_angle_beta 90.00
_cell_angle_gamma 90.00
loop_
_atom_site_label
_atom_site_type_symbol
_atom_site_fract_x
_atom_site_fract_y
_atom_site_fract_z
Rb1 Rb 0.000 0.000 0.000
Tl1 Tl 0.250 0.250 0.250
Bi1 Bi 0.000 0.000 0.500
```

Entry 2:
NaNbO3: relaxed, r2SCAN.

Structure (CIF):
```
data_NaNbO3
_space_group_name_H-M_alt 'P m c 21'
_space_group_IT_number 26
_cell_length_a 7.791
_cell_length_b 5.530
_cell_length_c 5.605
_cell_angle_alpha 90.00
_cell_angle_beta 90.00
_cell_angle_gamma 90.00
loop_
_space_group_symop_operation_xyz
'x,y,z'
'-x,-y,z+1/2'
'-x,y,z'
'x,-y,z+1/2'
loop_
_atom_site_label
_atom_site_type_symbol
_atom_site_fract_x
_atom_site_fract_y
_atom_site_fract_z
Na1 Na 0.000 0.237 0.000
Na2 Na 0.500 0.240 0.962
Nb1 Nb 0.251 0.257 0.483
O1 O 0.000 0.181 0.507
O2 O 0.215 0.454 0.808
O3 O 0.287 0.046 0.220
O4 O 0.500 0.323 0.536
```

Entry 3:
IrOs: relaxed, r2SCAN.

Structure (CIF):
```
data_IrOs
_space_group_name_H-M_alt 'P -6 m 2'
_space_group_IT_number 187
_space_group_name_Hall 'P -6 2'
_cell_length_a 2.7436
_cell_length_b 2.7436
_cell_length_c 4.3609
_cell_angle_alpha 90.00
_cell_angle_beta 90.00
_cell_angle_gamma 120.00
loop_
_atom_site_label
_atom_site_type_symbol
_atom_site_fract_x
_atom_site_fract_y
_atom_site_fract_z
Ir1 Ir 0.0000 0.0000 0.0000
Os1 Os 0.6667 0.3333 0.5000
```

Entry 4:
Ho2B6Rh9: relaxed, r2SCAN.

Structure (CIF):
```
data_Ho2B6Rh9
_space_group_name_H-M_alt 'P 6/m m m'
_space_group_IT_number 191
_space_group_name_Hall '-P 6 2'
_cell_length_a 5.5587
_cell_length_b 5.5587
_cell_length_c 8.5252
_cell_angle_alpha 90.00
_cell_angle_beta 90.00
_cell_angle_gamma 120.00
loop_
_atom_site_label
_atom_site_type_symbol
_atom_site_fract_x
_atom_site_fract_y
_atom_site_fract_z
Ho1 Ho 0.0000 0.0000 0.2054
B1 B 0.3333 0.6667 0.1676
B2 B 0.3333 0.6667 0.5000
Rh1 Rh 0.0000 0.5000 0.0000
Rh2 Rh 0.0000 0.5000 0.3357
```

The E_form results, record by record, are as follows: -0.216, -2.641, 0.038, -0.703 eV/atom.
The calculated volume results, record by record, are as follows: 34.88, 12.07, 14.21, 13.42 Å³/atom.